Record 1
## Ba2Y2MgFe4O10 (PBE with a Hubbard U)

Data for an optimized crystal structure of Ba2Y2MgFe4O10.

```
data_Ba2Y2MgFe4O10
_cell_length_a 7.8322
_cell_length_b 4.0301
_cell_length_c 9.0880
_cell_angle_alpha 90.00
_cell_angle_beta 93.01
_cell_angle_gamma 90.00
_symmetry_space_group_name_H-M 'P 1 m 1'
_symmetry_Int_Tables_number 6
loop_
_symmetry_equiv_pos_as_xyz
'x,y,z'
'x,-y,z'
loop_
_atom_site_label
_atom_site_type_symbol
_atom_site_fract_x
_atom_site_fract_y
_atom_site_fract_z
Ba1 Ba 0.0000 0.0000 0.0000
Ba2 Ba 0.4967 0.0000 0.9008
Y1 Y 0.4664 0.0000 0.4975
Y2 Y 0.9648 0.0000 0.5356
Mg1 Mg 0.4447 0.5000 0.1700
Fe1 Fe 0.1695 0.5000 0.3212
Fe2 Fe 0.2167 0.5000 0.7170
Fe3 Fe 0.7350 0.5000 0.7123
Fe4 Fe 0.7439 0.5000 0.3105
O1 O 0.1920 0.0000 0.3560
O2 O 0.2223 0.0000 0.6805
O3 O 0.2241 0.5000 0.0748
O4 O 0.4557 0.5000 0.3795
O5 O 0.4751 0.5000 0.7016
O6 O 0.6550 0.5000 0.0733
O7 O 0.7171 0.0000 0.3592
O8 O 0.7226 0.0000 0.6773
O9 O 0.9607 0.5000 0.4403
O10 O 0.9774 0.5000 0.7830
```

Energy of formation, eV per atom: -2.38
Energy with MP2020 corrections, eV per atom: -7.738
V, Å³/cell: 286
Energy above the lowest structure with this stoichiometry, meV per atom: 80

Record 2
## Ag2Mo3SeO12 (PBE with a Hubbard U)

Data for an optimized crystal structure of Ag2Mo3SeO12.

```
data_Ag2Mo3SeO12
_cell_length_a 7.5022
_cell_length_b 11.2679
_cell_length_c 13.3522
_cell_angle_alpha 90.00
_cell_angle_beta 108.25
_cell_angle_gamma 90.00
_symmetry_space_group_name_H-M 'P 1 21/c 1'
_symmetry_Int_Tables_number 14
loop_
_symmetry_equiv_pos_as_xyz
'x,y,z'
'-x,-y,-z'
'-x,y+1/2,-z+1/2'
'x,-y+1/2,z+1/2'
loop_
_atom_site_label
_atom_site_type_symbol
_atom_site_fract_x
_atom_site_fract_y
_atom_site_fract_z
Ag1 Ag 0.2154 0.1011 0.3100
Ag2 Ag 0.2563 0.0714 0.8192
Mo1 Mo 0.2025 0.2477 0.0572
Mo2 Mo 0.2037 0.5825 0.0693
Mo3 Mo 0.2092 0.5826 0.5582
Se1 Se 0.1493 0.6925 0.8079
O1 O 0.0788 0.2307 0.6915
O2 O 0.0871 0.5954 0.7010
O3 O 0.1137 0.0805 0.0544
O4 O 0.1230 0.7484 0.5364
O5 O 0.1336 0.0826 0.5332
O6 O 0.1373 0.5840 0.1853
O7 O 0.2122 0.5859 0.9072
O8 O 0.2655 0.2354 0.9408
O9 O 0.2789 0.5734 0.4452
O10 O 0.4159 0.2452 0.1548
O11 O 0.4253 0.5827 0.6565
O12 O 0.4457 0.5844 0.1196
```

Energy of formation, eV per atom: -1.55
Energy with MP2020 corrections, eV per atom: -7.166
V, Å³/cell: 1072

| no. | magnetic moment (μB/f.u.) |
| --- | --- |
| 1 | 16.00 |
| 2 | 0.00 |